# Na14La4In4Si7S5O48

An optimized crystal structure of Na14La4In4Si7S5O48 (PBE, the Materials Project database).

Lattice parameters (Å, degrees): 19.072 9.540 23.618 89.98 89.88 120.07
Fractional coordinates of all 246 atoms:
Na (0.810, 0.989, 0.243)
Na (0.188, 0.365, 0.260)
Na (0.691, 0.369, 0.256)
Na (0.997, 0.647, 0.241)
Na (0.504, 0.655, 0.246)
Na (0.310, 0.634, 0.755)
Na (0.002, 0.351, 0.750)
Na (0.500, 0.351, 0.748)
Na (0.188, 0.007, 0.762)
Na (0.690, 0.012, 0.764)
Na (0.141, 0.333, 0.583)
Na (0.640, 0.334, 0.584)
Na (0.339, 0.980, 0.578)
Na (0.840, 0.982, 0.580)
Na (0.136, 0.945, 0.086)
Na (0.653, 0.956, 0.086)
Na (0.340, 0.697, 0.080)
Na (0.839, 0.715, 0.078)
Na (0.487, 0.688, 0.925)
Na (0.983, 0.678, 0.926)
Na (0.343, 0.016, 0.912)
Na (0.843, 0.022, 0.921)
Na (0.170, 0.298, 0.908)
Na (0.676, 0.306, 0.910)
Na (0.485, 0.287, 0.419)
Na (0.984, 0.282, 0.420)
Na (0.172, 0.042, 0.404)
Na (0.672, 0.044, 0.404)
Na (0.344, 0.669, 0.407)
Na (0.843, 0.669, 0.408)
Na (0.998, 0.016, 0.493)
Na (0.498, 0.017, 0.492)
Na (0.987, 0.980, 0.001)
Na (0.501, 0.982, 0.995)
Na (0.324, 0.323, 0.835)
Na (0.821, 0.328, 0.838)
Na (0.322, 0.316, 0.332)
Na (0.824, 0.325, 0.328)
Na (0.163, 0.680, 0.172)
Na (0.668, 0.685, 0.165)
Na (0.159, 0.649, 0.673)
Na (0.666, 0.650, 0.675)
La (0.999, 0.009, 0.654)
La (0.496, 0.006, 0.652)
La (0.991, 0.989, 0.149)
La (0.500, 0.989, 0.153)
La (0.836, 0.338, 0.688)
La (0.336, 0.332, 0.188)
La (0.160, 0.667, 0.012)
La (0.670, 0.684, 0.015)
La (0.165, 0.659, 0.511)
La (0.661, 0.655, 0.512)
La (0.180, 0.688, 0.318)
La (0.681, 0.673, 0.820)
In (0.997, 0.995, 0.347)
In (0.501, 0.002, 0.346)
In (0.002, 0.001, 0.847)
In (0.498, 0.001, 0.848)
In (0.334, 0.325, 0.687)
In (0.834, 0.333, 0.182)
In (0.333, 0.343, 0.980)
In (0.835, 0.334, 0.986)
In (0.335, 0.327, 0.482)
In (0.833, 0.323, 0.480)
In (0.680, 0.679, 0.320)
In (0.179, 0.679, 0.821)
Si (0.145, 0.999, 0.251)
Si (0.653, 0.998, 0.254)
Si (0.351, 0.698, 0.252)
Si (0.847, 0.690, 0.253)
Si (0.154, 0.310, 0.751)
Si (0.647, 0.296, 0.751)
Si (0.346, 0.999, 0.752)
Si (0.851, 0.002, 0.751)
Si (0.478, 0.338, 0.585)
Si (0.983, 0.335, 0.581)
Si (0.481, 0.630, 0.081)
Si (0.980, 0.622, 0.085)
Si (0.834, 0.046, 0.083)
Si (0.320, 0.667, 0.916)
Si (0.827, 0.665, 0.921)
Si (0.167, 0.976, 0.914)
Si (0.665, 0.983, 0.915)
Si (0.326, 0.982, 0.422)
Si (0.820, 0.973, 0.417)
Si (0.166, 0.349, 0.418)
Si (0.666, 0.357, 0.416)
S (0.997, 0.299, 0.253)
S (0.506, 0.308, 0.257)
S (0.007, 0.705, 0.756)
S (0.496, 0.694, 0.751)
S (0.190, 0.046, 0.584)
S (0.686, 0.040, 0.580)
S (0.333, 0.617, 0.583)
S (0.834, 0.629, 0.578)
S (0.334, 0.038, 0.078)
S (0.187, 0.333, 0.080)
S (0.689, 0.334, 0.084)
S (0.016, 0.363, 0.910)
S (0.510, 0.356, 0.916)
S (0.010, 0.666, 0.416)
S (0.514, 0.667, 0.413)
O (0.101, 0.022, 0.308)
O (0.610, 0.034, 0.308)
O (0.405, 0.797, 0.308)
O (0.904, 0.775, 0.310)
O (0.496, 0.210, 0.308)
O (0.987, 0.202, 0.305)
O (0.112, 0.184, 0.804)
O (0.599, 0.178, 0.806)
O (0.485, 0.772, 0.803)
O (0.998, 0.785, 0.806)
O (0.406, 0.027, 0.807)
O (0.909, 0.017, 0.805)
O (0.381, 0.961, 0.694)
O (0.888, 0.982, 0.691)
O (0.102, 0.237, 0.692)
O (0.601, 0.216, 0.690)
O (0.016, 0.800, 0.704)
O (0.508, 0.794, 0.700)
O (0.390, 0.798, 0.193)
O (0.883, 0.805, 0.197)
O (0.010, 0.224, 0.203)
O (0.515, 0.230, 0.205)
O (0.099, 0.990, 0.192)
O (0.599, 0.964, 0.196)
O (0.433, 0.347, 0.643)
O (0.940, 0.345, 0.640)
O (0.236, 0.127, 0.636)
O (0.731, 0.118, 0.632)
O (0.327, 0.524, 0.635)
O (0.826, 0.536, 0.629)
O (0.437, 0.536, 0.140)
O (0.936, 0.527, 0.144)
O (0.326, 0.117, 0.129)
O (0.822, 0.129, 0.141)
O (0.233, 0.348, 0.132)
O (0.735, 0.347, 0.136)
O (0.228, 0.315, 0.029)
O (0.728, 0.318, 0.032)
O (0.424, 0.535, 0.025)
O (0.930, 0.536, 0.026)
O (0.337, 0.129, 0.026)
O (0.836, 0.139, 0.023)
O (0.229, 0.143, 0.532)
O (0.727, 0.141, 0.529)
O (0.336, 0.535, 0.531)
O (0.837, 0.544, 0.526)
O (0.426, 0.324, 0.527)
O (0.926, 0.318, 0.525)
O (0.281, 0.700, 0.973)
O (0.789, 0.704, 0.977)
O (0.066, 0.435, 0.962)
O (0.563, 0.437, 0.965)
O (0.146, 0.864, 0.971)
O (0.644, 0.862, 0.970)
O (0.290, 0.876, 0.481)
O (0.783, 0.865, 0.475)
O (0.148, 0.428, 0.474)
O (0.645, 0.424, 0.474)
O (0.062, 0.692, 0.466)
O (0.564, 0.695, 0.464)
O (0.046, 0.637, 0.365)
O (0.553, 0.640, 0.363)
O (0.259, 0.896, 0.373)
O (0.757, 0.889, 0.364)
O (0.185, 0.467, 0.363)
O (0.682, 0.482, 0.363)
O (0.057, 0.468, 0.860)
O (0.545, 0.453, 0.864)
O (0.183, 0.886, 0.860)
O (0.681, 0.902, 0.859)
O (0.260, 0.626, 0.861)
O (0.762, 0.614, 0.869)
O (0.002, 0.813, 0.412)
O (0.505, 0.814, 0.408)
O (0.415, 0.991, 0.411)
O (0.911, 0.989, 0.408)
O (0.085, 0.166, 0.412)
O (0.587, 0.173, 0.409)
O (0.007, 0.199, 0.905)
O (0.501, 0.191, 0.912)
O (0.089, 0.004, 0.907)
O (0.583, 0.003, 0.910)
O (0.410, 0.832, 0.908)
O (0.916, 0.834, 0.910)
O (0.482, 0.166, 0.582)
O (0.989, 0.165, 0.578)
O (0.108, 0.027, 0.586)
O (0.604, 0.023, 0.582)
O (0.405, 0.783, 0.584)
O (0.906, 0.794, 0.579)
O (0.486, 0.811, 0.078)
O (0.989, 0.805, 0.082)
O (0.406, 0.019, 0.079)
O (0.912, 0.017, 0.081)
O (0.106, 0.186, 0.082)
O (0.607, 0.185, 0.086)
O (0.340, 0.167, 0.749)
O (0.850, 0.175, 0.754)
O (0.247, 0.334, 0.744)
O (0.735, 0.306, 0.752)
O (0.419, 0.533, 0.747)
O (0.935, 0.540, 0.753)
O (0.351, 0.524, 0.255)
O (0.841, 0.509, 0.247)
O (0.434, 0.330, 0.254)
O (0.921, 0.309, 0.249)
O (0.235, 0.166, 0.253)
O (0.745, 0.162, 0.248)
O (0.330, 0.504, 0.919)
O (0.839, 0.505, 0.925)
O (0.428, 0.336, 0.923)
O (0.935, 0.347, 0.916)
O (0.253, 0.155, 0.921)
O (0.748, 0.163, 0.922)
O (0.340, 0.168, 0.423)
O (0.831, 0.157, 0.419)
O (0.251, 0.339, 0.426)
O (0.752, 0.350, 0.422)
O (0.431, 0.522, 0.419)
O (0.927, 0.521, 0.423)
O (0.183, 0.484, 0.077)
O (0.682, 0.483, 0.081)
O (0.075, 0.656, 0.085)
O (0.573, 0.661, 0.081)
O (0.260, 0.872, 0.077)
O (0.751, 0.862, 0.085)
O (0.186, 0.886, 0.581)
O (0.681, 0.880, 0.577)
O (0.258, 0.632, 0.583)
O (0.759, 0.646, 0.578)
O (0.077, 0.490, 0.581)
O (0.573, 0.489, 0.585)
O (0.144, 0.825, 0.253)
O (0.657, 0.827, 0.261)
O (0.256, 0.654, 0.250)
O (0.754, 0.663, 0.257)
O (0.068, 0.465, 0.258)
O (0.580, 0.472, 0.261)
O (0.158, 0.488, 0.759)
O (0.644, 0.466, 0.753)
O (0.081, 0.689, 0.759)
O (0.566, 0.668, 0.756)
O (0.254, 0.839, 0.756)
O (0.756, 0.855, 0.751)

* total energy: -6.383 eV/atom
* space-group type: P1, No. 1
* calculated formation energy: -210.974 eV/f.u.
* spin magnetization: 0.00 μB per cell
* crystal system: triclinic

=====

# Na2La2In2SiS5O24

An optimized crystal structure of Na2La2In2SiS5O24 (PBE, the Materials Project database).

Lattice parameters (Å, degrees): 9.142 9.161 24.482 89.47 90.57 119.79
Fractional coordinates of all 108 atoms:
Na (0.984, 0.980, 0.508)
Na (0.999, 0.001, 0.997)
Na (0.672, 0.319, 0.828)
Na (0.636, 0.306, 0.327)
Na (0.328, 0.683, 0.176)
Na (0.386, 0.690, 0.667)
La (0.013, 0.999, 0.343)
La (0.974, 0.985, 0.650)
La (0.668, 0.330, 0.686)
La (0.663, 0.343, 0.481)
La (0.354, 0.671, 0.520)
La (0.351, 0.678, 0.819)
In (0.990, 0.001, 0.849)
In (0.008, 0.997, 0.155)
In (0.658, 0.325, 0.181)
In (0.667, 0.329, 0.990)
In (0.332, 0.667, 0.016)
In (0.333, 0.680, 0.311)
Si (0.312, 0.000, 0.244)
Si (0.700, 0.008, 0.757)
Si (0.669, 0.638, 0.584)
S (0.692, 0.692, 0.243)
S (0.001, 0.308, 0.243)
S (0.295, 0.289, 0.758)
S (0.996, 0.701, 0.760)
S (0.974, 0.335, 0.581)
S (0.356, 0.028, 0.582)
S (0.959, 0.626, 0.083)
S (0.670, 0.033, 0.083)
S (0.369, 0.336, 0.081)
S (0.643, 0.663, 0.926)
S (0.026, 0.361, 0.925)
S (0.331, 0.977, 0.924)
S (0.632, 0.968, 0.408)
S (0.335, 0.382, 0.406)
S (0.038, 0.659, 0.411)
O (0.230, 0.028, 0.299)
O (0.791, 0.766, 0.293)
O (0.967, 0.205, 0.292)
O (0.210, 0.194, 0.809)
O (0.005, 0.799, 0.810)
O (0.793, 0.008, 0.816)
O (0.793, 0.002, 0.702)
O (0.206, 0.199, 0.708)
O (0.011, 0.795, 0.709)
O (0.771, 0.807, 0.194)
O (0.020, 0.220, 0.194)
O (0.193, 0.969, 0.189)
O (0.881, 0.324, 0.631)
O (0.451, 0.115, 0.632)
O (0.682, 0.545, 0.640)
O (0.878, 0.518, 0.132)
O (0.640, 0.112, 0.131)
O (0.476, 0.365, 0.130)
O (0.448, 0.308, 0.032)
O (0.857, 0.548, 0.033)
O (0.699, 0.137, 0.032)
O (0.454, 0.113, 0.532)
O (0.652, 0.533, 0.528)
O (0.877, 0.331, 0.532)
O (0.555, 0.688, 0.974)
O (0.135, 0.448, 0.974)
O (0.304, 0.866, 0.974)
O (0.550, 0.883, 0.460)
O (0.338, 0.466, 0.457)
O (0.125, 0.660, 0.462)
O (0.133, 0.663, 0.361)
O (0.535, 0.869, 0.360)
O (0.332, 0.479, 0.357)
O (0.098, 0.460, 0.875)
O (0.362, 0.907, 0.875)
O (0.546, 0.635, 0.876)
O (0.017, 0.811, 0.411)
O (0.803, 0.986, 0.408)
O (0.181, 0.214, 0.406)
O (0.012, 0.191, 0.922)
O (0.178, 0.995, 0.918)
O (0.815, 0.814, 0.923)
O (0.006, 0.192, 0.578)
O (0.194, 0.024, 0.579)
O (0.833, 0.825, 0.578)
O (0.974, 0.795, 0.088)
O (0.822, 0.014, 0.091)
O (0.198, 0.186, 0.087)
O (0.679, 0.173, 0.758)
O (0.468, 0.318, 0.760)
O (0.837, 0.539, 0.762)
O (0.685, 0.528, 0.234)
O (0.858, 0.340, 0.234)
O (0.500, 0.168, 0.238)
O (0.659, 0.510, 0.935)
O (0.853, 0.340, 0.932)
O (0.483, 0.147, 0.934)
O (0.644, 0.135, 0.405)
O (0.487, 0.363, 0.402)
O (0.869, 0.505, 0.407)
O (0.354, 0.491, 0.074)
O (0.132, 0.644, 0.077)
O (0.515, 0.863, 0.075)
O (0.329, 0.854, 0.585)
O (0.501, 0.659, 0.589)
O (0.137, 0.495, 0.583)
O (0.332, 0.831, 0.250)
O (0.518, 0.664, 0.248)
O (0.160, 0.473, 0.248)
O (0.300, 0.454, 0.758)
O (0.140, 0.669, 0.761)
O (0.512, 0.835, 0.756)

* total energy: -6.437 eV/atom
* space-group type: P1, No. 1
* calculated formation energy: -85.331 eV/f.u.
* spin magnetization: 0.00 μB per cell
* crystal system: triclinic